[1]
Compound: Lu4Ge6Rh7
Source: the Materials Project
Functional: PBE
Structure: optimized geometry

abc: 8.324 8.324 8.324
angles: 90.00 90.00 90.00
Space group Im-3m (No. 229)
Symmetry-distinct sites (fractional):
Lu: 0.250 0.250 0.250 [8 per cell]
Ge: 0.000 0.000 0.318 [12 per cell]
Rh: 0.000 0.000 0.000 [2 per cell]
Rh: 0.000 0.250 0.500 [12 per cell]

Results
uncorrected energy = -113.7 eV per formula unit

[2]
Compound: Lu4Ge8Ru
Source: the Materials Project
Functional: PBE
Structure: optimized geometry

abc: 3.985 4.131 15.960
angles: 90.00 90.00 90.00
Space group Pmm2 (No. 25)
Symmetry-distinct sites (fractional):
Lu: 0.000 0.000 0.000 [1 per cell]
Lu: 0.000 0.500 0.487 [1 per cell]
Lu: 0.500 0.000 0.789 [1 per cell]
Lu: 0.500 0.500 0.284 [1 per cell]
Ge: 0.000 0.000 0.332 [1 per cell]
Ge: 0.000 0.000 0.619 [1 per cell]
Ge: 0.000 0.500 0.140 [1 per cell]
Ge: 0.000 0.500 0.855 [1 per cell]
Ge: 0.500 0.000 0.144 [1 per cell]
Ge: 0.500 0.000 0.442 [1 per cell]
Ge: 0.500 0.500 0.617 [1 per cell]
Ge: 0.500 0.500 0.959 [1 per cell]
Ru: 0.000 0.500 0.703 [1 per cell]

Results
total magnetic moment = 0.0 Bohr magnetons per cell
uncorrected energy = -71.3 eV per formula unit

[3]
Compound: LuGeRu
Source: the Materials Project
Functional: PBE
Structure: optimized geometry

abc: 6.907 4.300 7.331
angles: 90.00 90.00 90.00
Space group Pnma (No. 62)
Symmetry-distinct sites (fractional):
Lu: 0.005 0.250 0.191 [4 per cell]
Ge: 0.207 0.250 0.611 [4 per cell]
Ru: 0.158 0.750 0.438 [4 per cell]

Results
uncorrected energy = -20.6 eV per formula unit

[4]
Compound: Lu4Ge6Ru7
Source: the Materials Project
Functional: PBE
Structure: optimized geometry

abc: 8.310 8.310 8.310
angles: 90.00 90.00 90.00
Space group Im-3m (No. 229)
Symmetry-distinct sites (fractional):
Lu: 0.250 0.250 0.250 [8 per cell]
Ge: 0.000 0.000 0.314 [12 per cell]
Ru: 0.000 0.000 0.000 [2 per cell]
Ru: 0.000 0.250 0.500 [12 per cell]

Results
uncorrected energy = -121.6 eV per formula unit

[5]
Compound: Lu3Ge13Ru4
Source: the Materials Project
Functional: PBE
Structure: optimized geometry

abc: 8.980 8.980 8.980
angles: 90.00 90.00 90.00
Space group Pm-3n (No. 223)
Symmetry-distinct sites (fractional):
Lu: 0.000 0.250 0.500 [6 per cell]
Ge: 0.000 0.000 0.000 [2 per cell]
Ge: 0.000 0.309 0.149 [24 per cell]
Ru: 0.250 0.250 0.250 [8 per cell]

Results
total magnetic moment = 0.0 Bohr magnetons per cell
uncorrected energy = -119.0 eV per formula unit

[6]
Compound: Lu4Zn5Ge6
Source: the Materials Project
Functional: PBE
Structure: optimized geometry

abc: 4.213 18.360 15.138
angles: 90.00 90.00 90.00
Space group Cmc2_1 (No. 36)
Symmetry-distinct sites (fractional):
Lu: 0.000 0.018 0.000 [4 per cell]
Lu: 0.000 0.032 0.265 [4 per cell]
Lu: 0.000 0.167 0.804 [4 per cell]
Lu: 0.000 0.175 0.445 [4 per cell]
Zn: 0.000 0.151 0.128 [4 per cell]
Zn: 0.000 0.301 0.125 [4 per cell]
Zn: 0.000 0.345 0.775 [4 per cell]
Zn: 0.000 0.349 0.483 [4 per cell]
Zn: 0.000 0.435 0.188 [4 per cell]
Ge: 0.000 0.112 0.617 [4 per cell]
Ge: 0.000 0.225 0.985 [4 per cell]
Ge: 0.000 0.230 0.268 [4 per cell]
Ge: 0.000 0.430 0.910 [4 per cell]
Ge: 0.000 0.434 0.630 [4 per cell]
Ge: 0.000 0.440 0.356 [4 per cell]

Results
total magnetic moment = 0.0 Bohr magnetons per cell
uncorrected energy = -59.6 eV per formula unit

| no. | ρ (g cm⁻³) |
| --- | --- |
| 1 | 10.7 |
| 2 | 8.7 |
| 3 | 10.6 |
| 4 | 10.7 |
| 5 | 8.6 |
| 6 | 8.3 |